Below is a relaxed Sr2La14Zn3Cu5O32 crystal, with properties calculated at the PBE level.

```
Sr2La14Zn3Cu5O32
1.0
5.562 0.000 0.000
0.000 5.402 0.000
-0.077 0.000 25.941
Sr La Zn Cu O
2 14 3 5 32
direct
0.000 0.000 0.000
0.491 0.000 0.247
0.008 0.000 0.498
0.010 0.500 0.749
0.014 0.500 0.248
0.475 0.500 0.001
0.478 0.000 0.750
0.482 0.500 0.498
0.509 0.500 0.139
0.509 0.500 0.639
0.512 0.000 0.386
0.518 0.000 0.893
0.979 0.000 0.138
0.980 0.500 0.388
0.982 0.000 0.638
0.985 0.500 0.891
0.494 0.000 0.568
0.498 0.500 0.822
0.996 0.500 0.567
0.494 0.000 0.069
0.496 0.500 0.317
0.994 0.000 0.820
0.994 0.500 0.068
0.998 0.000 0.317
0.024 0.000 0.226
0.053 0.500 0.479
0.061 0.500 0.975
0.062 0.000 0.724
0.239 0.246 0.824
0.239 0.754 0.824
0.243 0.251 0.326
0.243 0.258 0.075
0.243 0.742 0.075
0.243 0.749 0.326
0.247 0.251 0.577
0.247 0.749 0.577
0.436 0.000 0.478
0.438 0.500 0.728
0.440 0.500 0.228
0.465 0.000 0.980
0.541 0.000 0.153
0.547 0.500 0.908
0.549 0.500 0.411
0.555 0.000 0.660
0.743 0.259 0.066
0.743 0.741 0.066
0.745 0.250 0.562
0.745 0.750 0.562
0.751 0.246 0.811
0.751 0.253 0.317
0.751 0.747 0.317
0.751 0.754 0.811
0.926 0.000 0.908
0.934 0.500 0.660
0.936 0.000 0.413
0.942 0.500 0.162
```

Its spin magnetization is 1.6 μB/f.u. As for the space-group type: Pm (6). Its total energy is -399.43 eV for the cell shown. The calculation puts the formation energy at -166.32 eV per formula unit.

Below is a relaxed LaMg15 crystal, with properties calculated at the PBE level.

```
LaMg15
1.0
6.594 0.000 0.000
-3.297 5.711 0.000
0.000 0.000 10.360
La Mg
1 15
direct
0.000 0.000 0.000
0.000 0.000 0.500
0.011 0.505 0.000
0.168 0.336 0.256
0.168 0.336 0.744
0.168 0.832 0.256
0.168 0.832 0.744
0.495 0.505 0.000
0.495 0.989 0.000
0.501 0.002 0.500
0.501 0.499 0.500
0.664 0.832 0.256
0.664 0.832 0.744
0.667 0.333 0.245
0.667 0.333 0.755
0.998 0.499 0.500
```

Its spin magnetization is 0.0 μB/f.u. As for the space-group type: P-6m2 (187). Its total energy is -28.67 eV for the cell shown. The calculation puts the formation energy at 0.27 eV per formula unit.

Below is a relaxed YCo3H2 crystal, with properties calculated at the PBE level.

```
YCo3H2
1.0
2.470 1.426 9.129
-2.470 1.426 9.129
0.000 -2.853 9.129
Y Co H
3 9 6
direct
0.000 0.000 0.000
0.128 0.128 0.128
0.872 0.872 0.872
0.073 0.571 0.571
0.332 0.332 0.332
0.429 0.429 0.927
0.429 0.927 0.429
0.500 0.500 0.500
0.571 0.073 0.571
0.571 0.571 0.073
0.668 0.668 0.668
0.927 0.429 0.429
0.141 0.631 0.631
0.369 0.369 0.859
0.369 0.859 0.369
0.631 0.141 0.631
0.631 0.631 0.141
0.859 0.369 0.369
```

Its spin magnetization is 3.2 μB/f.u. As for the space-group type: R-3m (166). Its total energy is -107.60 eV for the cell shown. The calculation puts the formation energy at -1.65 eV per formula unit.

Below is a relaxed Rb2TeH6SO10 crystal, with properties calculated at the PBE level.

```
Rb2TeH6SO10
1.0
13.709 0.000 0.000
0.000 6.806 0.000
-3.493 0.000 11.162
Rb Te H S O
8 4 24 4 40
direct
0.139 0.001 0.401
0.139 0.499 0.901
0.360 0.022 0.156
0.360 0.478 0.656
0.640 0.522 0.344
0.640 0.978 0.844
0.861 0.501 0.099
0.861 0.999 0.599
0.000 0.000 0.000
0.000 0.500 0.500
0.500 0.000 0.500
0.500 0.500 0.000
0.085 0.008 0.835
0.085 0.492 0.335
0.109 0.748 0.137
0.109 0.752 0.637
0.135 0.208 0.137
0.135 0.292 0.637
0.363 0.243 0.408
0.363 0.257 0.908
0.389 0.563 0.130
0.389 0.937 0.630
0.425 0.682 0.401
0.425 0.818 0.901
0.575 0.182 0.099
0.575 0.318 0.599
0.611 0.063 0.370
0.611 0.437 0.870
0.637 0.743 0.092
0.637 0.757 0.592
0.865 0.708 0.363
0.865 0.792 0.863
0.891 0.248 0.363
0.891 0.252 0.863
0.915 0.508 0.665
0.915 0.992 0.165
0.253 0.510 0.263
0.253 0.990 0.763
0.747 0.010 0.237
0.747 0.490 0.737
0.038 0.585 0.359
0.038 0.915 0.859
0.042 0.741 0.070
0.042 0.759 0.570
0.136 0.114 0.072
0.136 0.386 0.572
0.166 0.124 0.763
0.166 0.376 0.263
0.218 0.718 0.248
0.218 0.782 0.748
0.293 0.050 0.663
0.293 0.450 0.163
0.336 0.010 0.881
0.336 0.490 0.381
0.363 0.096 0.413
0.363 0.404 0.913
0.444 0.642 0.111
0.444 0.858 0.611
0.480 0.728 0.894
0.480 0.772 0.394
0.520 0.228 0.606
0.520 0.272 0.106
0.556 0.142 0.389
0.556 0.358 0.889
0.637 0.596 0.087
0.637 0.904 0.587
0.664 0.510 0.619
0.664 0.990 0.119
0.707 0.550 0.837
0.707 0.950 0.337
0.782 0.218 0.252
0.782 0.282 0.752
0.834 0.624 0.737
0.834 0.876 0.237
0.864 0.614 0.428
0.864 0.886 0.928
0.958 0.241 0.430
0.958 0.259 0.930
0.962 0.085 0.141
0.962 0.415 0.641
```

Its spin magnetization is 0.0 μB/f.u. As for the space-group type: P2_1/c (14). Its total energy is -421.38 eV for the cell shown. The energy above the most stable polymorph in this dataset is 0.000 eV/atom. The calculation puts the formation energy at -33.14 eV per formula unit.

Below is a relaxed Cs2Zr2ZnH12O6F12 crystal, with properties calculated at the PBE level.

```
Cs2Zr2ZnH12O6F12
1.0
6.950 0.000 0.000
0.000 10.773 0.000
-6.256 0.000 13.551
Cs Zr Zn H O F
4 4 2 24 12 24
direct
0.025 0.210 0.084
0.025 0.290 0.584
0.975 0.710 0.416
0.975 0.790 0.916
0.381 0.036 0.866
0.381 0.464 0.366
0.619 0.536 0.634
0.619 0.964 0.134
0.500 0.000 0.500
0.500 0.500 0.000
0.046 0.619 0.147
0.046 0.881 0.647
0.121 0.587 0.066
0.121 0.913 0.566
0.283 0.600 0.730
0.283 0.900 0.230
0.348 0.732 0.795
0.348 0.768 0.295
0.447 0.671 0.078
0.447 0.829 0.578
0.469 0.114 0.702
0.469 0.386 0.202
0.531 0.614 0.798
0.531 0.886 0.298
0.553 0.171 0.422
0.553 0.329 0.922
0.652 0.232 0.705
0.652 0.268 0.205
0.717 0.100 0.770
0.717 0.400 0.270
0.879 0.087 0.434
0.879 0.413 0.934
0.954 0.119 0.353
0.954 0.381 0.853
0.007 0.113 0.424
0.007 0.387 0.924
0.347 0.609 0.034
0.347 0.891 0.534
0.378 0.636 0.795
0.378 0.864 0.295
0.622 0.136 0.705
0.622 0.364 0.205
0.653 0.109 0.466
0.653 0.391 0.966
0.993 0.613 0.076
0.993 0.887 0.576
0.089 0.044 0.863
0.089 0.456 0.363
0.289 0.642 0.296
0.289 0.858 0.796
0.297 0.070 0.713
0.297 0.430 0.213
0.322 0.516 0.629
0.322 0.984 0.129
0.380 0.223 0.850
0.380 0.277 0.350
0.463 0.607 0.483
0.463 0.893 0.983
0.537 0.107 0.017
0.537 0.393 0.517
0.620 0.723 0.650
0.620 0.777 0.150
0.678 0.016 0.871
0.678 0.484 0.371
0.703 0.570 0.787
0.703 0.930 0.287
0.711 0.142 0.204
0.711 0.358 0.704
0.911 0.544 0.637
0.911 0.956 0.137
```

Its spin magnetization is 0.0 μB/f.u. As for the space-group type: P2_1/c (14). Its total energy is -370.30 eV for the cell shown. The calculation puts the formation energy at -81.29 eV per formula unit.

Below is a relaxed ZnAs3 crystal, with properties calculated at the PBE level.

```
ZnAs3
1.0
0.000 3.345 3.345
3.345 0.000 3.345
3.345 3.345 0.000
Zn As
1 3
direct
0.000 0.000 0.000
0.250 0.250 0.250
0.500 0.500 0.500
0.750 0.750 0.750
```

Its spin magnetization is 0.0 μB/f.u. As for the space-group type: Fm-3m (225). Its total energy is -13.81 eV for the cell shown. The calculation puts the formation energy at 1.43 eV per formula unit.